1.
Entry from the Materials Project database: a geometry-optimized LiMnP4O12 structure (GGA+U).

Cell: 8.699 8.699 9.628 Å, 120.83 120.83 50.34°
Fractional positions:
Li1 0.206 0.794 0.750
Li2 0.794 0.206 0.250
Mn1 0.345 0.655 0.250
Mn2 0.655 0.345 0.750
P1 0.058 0.209 0.639
P2 0.195 0.536 0.836
P3 0.209 0.058 0.139
P4 0.464 0.805 0.664
P5 0.536 0.195 0.336
P6 0.791 0.942 0.861
P7 0.805 0.464 0.164
P8 0.942 0.791 0.361
O1 0.006 0.141 0.453
O2 0.021 0.265 0.218
O3 0.101 0.686 0.274
O4 0.141 0.006 0.953
O5 0.153 0.353 0.705
O6 0.238 0.541 0.012
O7 0.265 0.021 0.718
O8 0.314 0.899 0.226
O9 0.351 0.522 0.797
O10 0.353 0.153 0.205
O11 0.459 0.762 0.488
O12 0.478 0.649 0.703
O13 0.522 0.351 0.297
O14 0.541 0.238 0.512
O15 0.647 0.847 0.795
O16 0.649 0.478 0.203
O17 0.686 0.101 0.774
O18 0.735 0.979 0.282
O19 0.762 0.459 0.988
O20 0.847 0.647 0.295
O21 0.859 0.994 0.047
O22 0.899 0.314 0.726
O23 0.979 0.735 0.782
O24 0.994 0.859 0.547

Summary:
The total energy comes out at -255.4 eV/cell. The calculation puts the magnetization at 8.001 μB/cell. Its theoretical density is 2.71 g/cm³.



2.
Entry from the Materials Project database: a geometry-optimized Li2CrO4 structure (GGA+U).

Cell: 5.193 5.286 7.773 Å, 82.79 70.81 65.95°
Fractional positions:
Li1 0.000 0.000 0.000
Li2 0.079 0.465 0.902
Li3 0.219 0.504 0.488
Li4 0.788 0.458 0.288
Cr1 0.425 0.024 0.218
Cr2 0.616 0.464 0.718
O1 0.167 0.198 0.111
O2 0.278 0.866 0.394
O3 0.341 0.722 0.849
O4 0.445 0.291 0.670
O5 0.522 0.254 0.282
O6 0.735 0.781 0.089
O7 0.813 0.561 0.522
O8 0.844 0.283 0.839

Summary:
The total energy comes out at -85.3 eV/cell. Its maximum piezoelectric response is 0.4 C/m2. The calculation puts the magnetization at 0.000 μB/cell. Its theoretical density is 2.34 g/cm³.



3.
Entry from the Materials Project database: a geometry-optimized Li3V3P8O29 structure (GGA+U).

Cell: 9.688 9.729 14.374 Å, 88.56 89.49 60.53°
Fractional positions:
Li1 0.000 0.000 0.000
Li2 0.013 0.741 0.550
Li3 0.101 0.670 0.059
Li4 0.186 0.349 0.120
Li5 0.319 0.354 0.620
Li6 0.409 0.589 0.502
V1 0.088 0.239 0.318
V2 0.096 0.109 0.804
V3 0.533 0.676 0.302
V4 0.534 0.236 0.813
V5 0.656 0.674 0.813
V6 0.658 0.107 0.308
P1 0.004 0.990 0.216
P2 0.005 0.462 0.726
P3 0.180 0.885 0.396
P4 0.183 0.356 0.904
P5 0.306 0.755 0.897
P6 0.322 0.356 0.404
P7 0.396 0.457 0.223
P8 0.406 0.587 0.716
P9 0.419 0.018 0.194
P10 0.429 0.009 0.693
P11 0.750 0.343 0.425
P12 0.766 0.335 0.926
P13 0.789 0.756 0.399
P14 0.790 0.890 0.899
P15 0.867 0.986 0.717
P16 0.881 0.590 0.217
O1 0.002 0.027 0.728
O2 0.005 0.146 0.237
O3 0.009 0.300 0.734
O4 0.011 0.412 0.227
O5 0.070 0.918 0.125
O6 0.080 0.479 0.823
O7 0.097 0.475 0.646
O8 0.098 0.860 0.477
O9 0.106 0.869 0.299
O10 0.123 0.429 0.996
O11 0.171 0.051 0.389
O12 0.173 0.933 0.892
O13 0.177 0.329 0.396
O14 0.180 0.202 0.886
O15 0.274 0.163 0.239
O16 0.276 0.677 0.978
O17 0.277 0.010 0.738
O18 0.285 0.479 0.145
O19 0.288 0.682 0.800
O20 0.302 0.477 0.320
O21 0.324 0.433 0.493
O22 0.333 0.657 0.624
O23 0.356 0.323 0.888
O24 0.357 0.753 0.393
O25 0.411 0.028 0.091
O26 0.422 0.865 0.238
O27 0.423 0.012 0.590
O28 0.424 0.160 0.733
O29 0.435 0.414 0.725
O30 0.438 0.592 0.225
O31 0.470 0.747 0.889
O32 0.474 0.199 0.386
O33 0.549 0.296 0.230
O34 0.563 0.587 0.737
O35 0.570 0.011 0.238
O36 0.570 0.862 0.742
O37 0.605 0.491 0.380
O38 0.617 0.337 0.878
O39 0.633 0.051 0.888
O40 0.634 0.749 0.383
O41 0.708 0.140 0.732
O42 0.715 0.599 0.228
O43 0.744 0.344 0.528
O44 0.747 0.757 0.896
O45 0.747 0.932 0.388
O46 0.753 0.198 0.378
O47 0.761 0.329 0.029
O48 0.763 0.485 0.882
O49 0.831 0.597 0.729
O50 0.832 0.022 0.229
O51 0.879 0.901 0.631
O52 0.881 0.680 0.484
O53 0.889 0.872 0.805
O54 0.892 0.878 0.979
O55 0.898 0.671 0.309
O56 0.904 0.342 0.384
O57 0.909 0.663 0.133
O58 0.912 0.186 0.886

Summary:
The total energy comes out at -607.0 eV/cell. The calculation puts the magnetization at 0.002 μB/cell. Its theoretical density is 2.49 g/cm³.



Q: magnetization of number 1 (LiMnP4O12)?
A: 8.001 μB/cell